This record from the Materials Project database describes a geometry-optimized SrTb2O4 structure. The functional is r2SCAN.

Output
* space group: Pnma, No. 62
* formation energy from the elements: -3.644 eV per atom
* E_tot: -508.0 eV per cell

a = 10.0880 Å, b = 3.4316 Å, c = 11.9640 Å
α = 90.00°, β = 90.00°, γ = 90.00°
Element x y z (fractional)
Sr 0.2483 0.2500 0.1496
Sr 0.2517 0.7500 0.6496
Sr 0.7483 0.2500 0.3504
Sr 0.7517 0.7500 0.8504
Tb 0.0762 0.2500 0.8886
Tb 0.0791 0.2500 0.3884
Tb 0.4209 0.7500 0.8884
Tb 0.4238 0.7500 0.3886
Tb 0.5762 0.2500 0.6114
Tb 0.5791 0.2500 0.1116
Tb 0.9209 0.7500 0.6116
Tb 0.9238 0.7500 0.1114
O 0.0140 0.7500 0.7834
O 0.0736 0.2500 0.5780
O 0.1273 0.7500 0.0194
O 0.2124 0.7500 0.3231
O 0.2876 0.2500 0.8231
O 0.3727 0.2500 0.5194
O 0.4264 0.7500 0.0780
O 0.4860 0.2500 0.2834
O 0.5140 0.7500 0.7166
O 0.5736 0.2500 0.9220
O 0.6273 0.7500 0.4806
O 0.7124 0.7500 0.1769
O 0.7876 0.2500 0.6769
O 0.8727 0.2500 0.9806
O 0.9264 0.7500 0.4220
O 0.9860 0.2500 0.2166